[1]
K2SnBr6: optimized geometry, PBE.

```
18
Lattice="7.6806 0.0000 0.0000 0.0000 7.6455 0.0000 0.0000 7.6147 10.8889" Properties=species:S:1:pos:R:3 pbc="T T T"
Br 2.2820 5.9371 5.1365
Br 5.9910 5.3454 5.1876
Br 7.6494 8.0363 2.6221
Br 5.5298 9.1527 10.6321
Br 2.1507 6.1075 0.2568
Br 5.3986 9.3232 5.7524
Br 6.1222 5.5158 0.3080
Br 0.0311 7.2240 8.2668
Br 1.6895 9.9149 5.7012
Br 3.8091 3.4166 2.8223
Br 1.5583 9.7445 10.5809
Br 3.8714 11.8436 8.0665
Sn 3.8403 3.8074 5.4444
Sn 0.0000 0.0000 0.0000
K 4.1316 7.5869 2.7311
K 0.2913 3.8660 2.7133
K 7.3893 11.3943 8.1756
K 3.5490 7.6734 8.1577
```

Computed properties:
MP2020-corrected energy   -59.98 eV per cell
Formation energy from the elements   -1.5489 eV/atom
Space group   P2_1/c, No. 14

=====

[2]
K2TcBr6: optimized geometry, PBE.

```
9
Lattice="0.0000 5.3075 5.3075 5.3075 0.0000 5.3075 5.3075 5.3075 0.0000" Properties=species:S:1:pos:R:3 pbc="T T T"
Tc 0.0000 0.0000 0.0000
Br 5.3075 5.3075 8.0810
Br 5.3075 5.3075 2.5339
Br 5.3075 8.0810 5.3075
Br 2.5339 5.3075 5.3075
Br 8.0810 5.3075 5.3075
Br 5.3075 2.5339 5.3075
K 2.6537 2.6537 2.6537
K 7.9612 7.9612 7.9612
```

Computed properties:
MP2020-corrected energy   -35.09 eV per cell
Formation energy from the elements   -1.4098 eV/atom
Space group   Fm-3m, No. 225

=====

[3]
KTmBr3: optimized geometry, PBE.

```
20
Lattice="7.6030 0.0000 0.0000 0.0000 7.9821 0.0000 0.0000 0.0000 10.9395" Properties=species:S:1:pos:R:3 pbc="T T T"
Br 4.5604 4.1759 2.7349
Br 1.5205 5.6196 4.9830
Br 2.2810 1.6285 0.4867
Br 3.0426 3.8062 8.2046
Br 1.5205 5.6196 0.4867
Br 2.2810 1.6285 4.9830
Br 6.0825 2.3625 10.4528
Br 6.8441 0.1849 2.7349
Br 6.0825 2.3625 5.9564
Br 5.3220 6.3535 10.4528
Br 0.7589 7.7972 8.2046
Br 5.3220 6.3535 5.9564
K 4.0100 0.5708 8.2046
K 3.5931 7.4112 2.7349
K 7.3946 4.5618 8.2046
K 0.2084 3.4202 2.7349
Tm 3.8015 3.9910 5.4697
Tm 0.0000 0.0000 0.0000
Tm 3.8015 3.9910 0.0000
Tm 0.0000 0.0000 5.4697
```

Computed properties:
MP2020-corrected energy   -78.46 eV per cell
Total moment   3.91 Bohr magnetons per cell
Formation energy from the elements   -1.8238 eV/atom
Space group   Pnma, No. 62

=====

[4]
K2UBr5: optimized geometry, PBE.

```
32
Lattice="-2.2336 6.0560 5.6828 -8.5389 -3.5454 0.4220 3.9167 -8.2085 10.2870" Properties=species:S:1:pos:R:3 pbc="T T T"
Br -1.1531 -2.3596 7.5893
Br -3.4946 -1.2977 10.8891
Br -5.3001 -8.9218 11.7970
Br 0.2570 -5.6725 8.2897
Br -7.1129 -0.0254 8.1022
Br -6.5386 -1.8605 4.3043
Br -6.8744 -5.8588 5.6764
Br -5.7027 -3.3382 8.8026
Br 0.0186 0.1610 10.7155
Br -3.3612 -4.4001 5.5027
Br -2.0823 -0.5352 4.1155
Br -1.5557 3.2239 4.5949
Br -5.0689 1.7652 4.7685
Br 1.5859 -8.5804 10.7467
Br -4.0180 -7.4892 8.0173
Br -8.4417 2.8826 5.6452
Br -1.7869 -7.4631 11.6234
Br -2.8378 1.7913 8.3746
Br -0.3172 -3.8374 12.0876
Br -4.7735 -5.1626 12.2763
U -6.4984 -1.1897 10.7531
U -7.6746 0.7939 3.6196
U 0.8188 -6.4918 12.7722
U -0.3574 -4.5082 5.6387
K -4.1812 -1.0930 6.7168
K -6.8608 -6.3430 9.8820
K -7.9386 -4.6263 2.4980
K 0.0050 0.6451 6.5099
K -2.6746 -4.6048 9.6751
K -3.1035 -2.8097 14.1008
K -3.7524 -2.8882 2.2911
K 1.0827 -1.0715 13.8938
```

Computed properties:
MP2020-corrected energy   -147.82 eV per cell
Formation energy from the elements   -1.9073 eV/atom
Space group   Pnma, No. 62

=====

[5]
LaBr: optimized geometry, PBE.

```
4
Lattice="-5.6725 4.4552 -8.1706 -7.1144 0.5834 -8.2359 -8.7227 3.3432 -5.6145" Properties=species:S:1:pos:R:3 pbc="T T T"
Br -13.0655 5.0913 -13.3762
Br -8.4441 3.2905 -8.6449
La -2.5788 1.0049 -2.6402
La -18.9307 7.3769 -19.3809
```

Computed properties:
MP2020-corrected energy   -19.28 eV per cell
Total moment   1.80 Bohr magnetons per cell
Formation energy from the elements   -1.5343 eV/atom
Space group   R-3m, No. 166

=====

[6]
La2Br5: optimized geometry, PBE.

```
14
Lattice="-4.1513 0.7901 0.7994 -1.8811 -7.4445 -2.4104 1.5316 -4.7568 12.6551" Properties=species:S:1:pos:R:3 pbc="T T T"
La -0.9264 -1.1095 2.0704
La -3.3958 -4.2093 3.8794
La -1.1050 -7.2018 7.1647
La -3.5744 -10.3016 8.9736
Br -0.9307 -8.8850 9.7334
Br -3.5701 -2.5262 1.3106
Br 0.1126 -5.3115 11.6190
Br -2.6223 -5.3521 9.0258
Br -2.7111 -1.3079 4.5676
Br -1.7897 -10.1032 6.4764
Br -3.6202 -6.9586 5.4313
Br -1.8785 -6.0591 2.0182
Br -0.8805 -4.4526 5.6127
Br -4.6134 -6.0997 -0.5750
```

Computed properties:
MP2020-corrected energy   -68.75 eV per cell
Formation energy from the elements   -2.3310 eV/atom
Space group   P2_1/m, No. 11

=====

[7]
LaBr2: optimized geometry, PBE.

```
6
Lattice="2.0744 -3.5929 0.0000 2.0744 3.5929 0.0000 0.0000 0.0000 15.2934" Properties=species:S:1:pos:R:3 pbc="T T T"
Br 2.0744 -1.1976 9.5572
Br 2.0744 1.1976 1.9105
Br 2.0744 -1.1976 13.3830
Br 2.0744 1.1976 5.7363
La 0.0000 0.0000 11.4701
La 0.0000 0.0000 3.8234
```

Computed properties:
MP2020-corrected energy   -29.46 eV per cell
Formation energy from the elements   -2.1727 eV/atom
Space group   P6_3/mmc, No. 194

=====

[8]
La3Br: optimized geometry, PBE.

```
4
Lattice="-1.1714 3.8724 2.8830 0.9776 -2.7150 4.0439 4.7278 1.5208 -0.1218" Properties=species:S:1:pos:R:3 pbc="T T T"
La 2.8527 -0.5971 1.9610
La 1.7782 2.6966 1.3806
La -0.0969 0.5787 3.4634
Br 0.0000 0.0000 0.0000
```

Computed properties:
MP2020-corrected energy   -17.91 eV per cell
Total moment   0.08 Bohr magnetons per cell
Formation energy from the elements   -0.3665 eV/atom
Space group   Pm-3m, No. 221

=====

Among the records above, which one has the highest MP2020-corrected energy? La3Br

=====

Which formula does entry 8 have? La3Br

=====

Which of these has the highest MP2020-corrected energy? La3Br

=====

Please write out number 3 again, unchanged.
KTmBr3: optimized geometry, PBE.

```
20
Lattice="7.6030 0.0000 0.0000 0.0000 7.9821 0.0000 0.0000 0.0000 10.9395" Properties=species:S:1:pos:R:3 pbc="T T T"
Br 4.5604 4.1759 2.7349
Br 1.5205 5.6196 4.9830
Br 2.2810 1.6285 0.4867
Br 3.0426 3.8062 8.2046
Br 1.5205 5.6196 0.4867
Br 2.2810 1.6285 4.9830
Br 6.0825 2.3625 10.4528
Br 6.8441 0.1849 2.7349
Br 6.0825 2.3625 5.9564
Br 5.3220 6.3535 10.4528
Br 0.7589 7.7972 8.2046
Br 5.3220 6.3535 5.9564
K 4.0100 0.5708 8.2046
K 3.5931 7.4112 2.7349
K 7.3946 4.5618 8.2046
K 0.2084 3.4202 2.7349
Tm 3.8015 3.9910 5.4697
Tm 0.0000 0.0000 0.0000
Tm 3.8015 3.9910 0.0000
Tm 0.0000 0.0000 5.4697
```

Computed properties:
MP2020-corrected energy   -78.46 eV per cell
Total moment   3.91 Bohr magnetons per cell
Formation energy from the elements   -1.8238 eV/atom
Space group   Pnma, No. 62